1.
VASP calculation (PBE+U) on a relaxed Ba2MgVMoO6 crystal.

Calculated values
crystal system = orthorhombic
excess energy over the best structure of this formula in the dataset = 7 meV/atom
formation energy = -2.3983 eV/atom
uncorrected energy = -6.583 eV/atom

Unit cell a=6.2021 b=6.2021 c=5.8131 alpha=62.05 beta=62.05 gamma=57.06
Last column: nearest neighbours and their distance in Å.
Atoms (fractional coordinates):
O1 0.7665 0.2335 0.7458  1 Mg 1.99, 1 V 2.02, 1 Mo 2.13
O2 0.2463 0.2463 0.7537  1 V 2.27, 1 Mo 2.34
O3 0.7665 0.2335 0.2542  1 Mg 1.99, 1 V 2.02, 1 Mo 2.13
O4 0.2335 0.7665 0.7458  1 Mg 1.99, 1 V 2.02, 1 Mo 2.13
O5 0.2335 0.7665 0.2542  1 Mg 1.99, 1 V 2.02, 1 Mo 2.13
O6 0.7537 0.7537 0.2463  1 V 2.27, 1 Mo 2.34
Ba1 0.3050 0.3050 0.1950  1 Mg 2.81, 8 O 2.81-3.00
Ba2 0.6950 0.6950 0.8050  1 Mg 2.81, 8 O 2.81-3.00
Mg1 0.0000 0.0000 0.5000  4 O 1.99
Mo1 0.5000 0.5000 0.5000  6 O 2.13-2.34
V1 0.0000 0.0000 0.0000  4 O 2.02

2.
VASP calculation (PBE+U) on a relaxed Ba2MgVMoO6 crystal.

Calculated values
crystal system = trigonal
excess energy over the best structure of this formula in the dataset = 78 meV/atom
formation energy = -2.3272 eV/atom
uncorrected energy = -6.512 eV/atom

Unit cell a=5.8501 b=5.8501 c=6.4681 alpha=63.11 beta=63.11 gamma=60.00
Last column: nearest neighbours and their distance in Å.
Atoms (fractional coordinates):
O1 0.2645 0.7645 0.2066  1 V 1.98, 1 Mo 2.10
O2 0.7513 0.2560 0.7367  1 Mg 1.91
O3 0.7645 0.2645 0.2066  1 V 1.98, 1 Mo 2.10
O4 0.2560 0.2560 0.7367  1 Mg 1.91
O5 0.2560 0.7513 0.7367  1 Mg 1.91
O6 0.7645 0.7645 0.2066  1 V 1.98, 1 Mo 2.10
Ba1 0.1990 0.1990 0.4031  3 O 2.51, 1 Mg 2.76
Ba2 0.7378 0.7378 0.7865  9 O 2.87-2.94
V1 0.9932 0.9932 0.0205  3 O 1.98
Mg1 0.3656 0.3656 0.9032  3 O 1.91
Mo1 0.5226 0.5226 0.4321  3 O 2.10

3.
VASP calculation (PBE+U) on a relaxed Ba2MgVMoO6 crystal.

Calculated values
crystal system = trigonal
excess energy over the best structure of this formula in the dataset = 0 meV/atom
formation energy = -2.4049 eV/atom
uncorrected energy = -6.590 eV/atom

Unit cell a=6.0642 b=6.0642 c=6.6254 alpha=62.76 beta=62.76 gamma=60.00
Last column: nearest neighbours and their distance in Å.
Atoms (fractional coordinates):
O1 0.7444 0.2867 0.2245  1 V 1.90, 1 Mo 2.11
O2 0.2797 0.2797 0.7007  1 Mg 1.90, 1 Mo 2.07
O3 0.2797 0.7399 0.7007  1 Mg 1.90, 1 Mo 2.07
O4 0.7399 0.2797 0.7007  1 Mg 1.90, 1 Mo 2.07
O5 0.7444 0.7444 0.2245  1 V 1.90, 1 Mo 2.11
O6 0.2867 0.7444 0.2245  1 V 1.90, 1 Mo 2.11
Ba1 0.3019 0.3019 0.0942  3 O 2.74
Ba2 0.7267 0.7267 0.8200  9 O 2.78-3.11
Mg1 0.0908 0.0908 0.7277  3 O 1.90
V1 0.9207 0.9207 0.2380  3 O 1.90
Mo1 0.5102 0.5102 0.4693  6 O 2.07-2.11

4.
VASP calculation (PBE+U) on a relaxed Ba2MgNbVO6 crystal.

Calculated values
crystal system = orthorhombic
excess energy over the best structure of this formula in the dataset = 25 meV/atom
formation energy = -2.5931 eV/atom
uncorrected energy = -7.001 eV/atom

Unit cell a=6.3420 b=6.3420 c=5.8836 alpha=62.37 beta=62.37 gamma=56.01
Last column: nearest neighbours and their distance in Å.
Atoms (fractional coordinates):
Nb1 0.5000 0.5000 0.5000  6 O 2.07-2.10
Ba1 0.3107 0.3107 0.1893  8 O 2.83-3.11, 1 Mg 2.96
Ba2 0.6893 0.6893 0.8107  8 O 2.83-3.11, 1 Mg 2.96
O1 0.2827 0.2828 0.7172  1 Nb 2.07
O2 0.7614 0.2387 0.2596  1 Mg 2.01, 1 V 2.09, 1 Nb 2.10
O3 0.7173 0.7172 0.2828  1 Nb 2.07
O4 0.2387 0.7614 0.2596  1 Mg 2.01, 1 V 2.09, 1 Nb 2.10
O5 0.2386 0.7613 0.7404  1 Mg 2.01, 1 V 2.09, 1 Nb 2.10
O6 0.7613 0.2386 0.7404  1 Mg 2.01, 1 V 2.09, 1 Nb 2.10
Mg1 0.0000 0.0000 0.5000  4 O 2.01
V1 0.0000 0.0000 0.0000  4 O 2.09

5.
VASP calculation (PBE+U) on a relaxed Ba2MgNbVO6 crystal.

Calculated values
crystal system = monoclinic
excess energy over the best structure of this formula in the dataset = 0 meV/atom
formation energy = -2.6185 eV/atom
uncorrected energy = -7.027 eV/atom

Unit cell a=6.6163 b=6.0899 c=6.1136 alpha=59.87 beta=62.48 gamma=61.77
Last column: nearest neighbours and their distance in Å.
Atoms (fractional coordinates):
O1 0.3133 0.2521 0.7173  1 Mg 1.91, 1 Nb 2.06
O2 0.7740 0.2603 0.2550  1 V 1.92, 1 Nb 2.08
O3 0.3022 0.7223 0.7176  1 Mg 1.91, 1 Nb 2.06
O4 0.7664 0.7152 0.2592  1 V 1.92, 1 Nb 2.08
O5 0.7739 0.2603 0.7107  1 V 1.92, 1 Nb 2.08
O6 0.3022 0.7223 0.2580  1 Mg 1.91, 1 Nb 2.06
Nb1 0.5324 0.4902 0.4887  6 O 2.06-2.08
V1 0.7620 0.0817 0.0782  3 O 1.92
Ba1 0.8959 0.7027 0.7007  7 O 2.80-3.12
Ba2 0.1806 0.2664 0.2765  5 O 2.77-3.07
Mg1 0.2616 0.9119 0.9132  3 O 1.91

6.
VASP calculation (PBE+U) on a relaxed BaMg6NiO8 crystal.

Calculated values
crystal system = tetragonal
excess energy over the best structure of this formula in the dataset = 0 meV/atom
formation energy = -2.4073 eV/atom
uncorrected energy = -5.460 eV/atom

Unit cell a=8.8064 b=4.6470 c=4.6470 alpha=90.00 beta=90.00 gamma=90.00
Last column: nearest neighbours and their distance in Å.
Atoms (fractional coordinates):
Mg1 0.5000 0.0000 0.0000  6 O 2.18-2.32
Mg2 0.2646 0.5000 0.0000  1 O 2.07
Mg3 0.5000 0.5000 0.5000  2 O 1.91
Mg4 0.7354 0.5000 0.0000  1 O 2.07
Mg5 0.2646 0.0000 0.5000  1 O 2.07
Mg6 0.7354 0.0000 0.5000  1 O 2.07
O1 0.5000 0.0000 0.5000  2 Mg 2.07
O2 0.0000 0.5000 0.0000  2 Ba 2.32, 2 Ni 2.32, 2 Mg 2.33
O3 0.2826 0.5000 0.5000  1 Mg 1.91
O4 0.5000 0.5000 0.0000  2 Mg 2.07
O5 0.7174 0.5000 0.5000  1 Mg 1.91
O6 0.0000 0.0000 0.5000  2 Ba 2.32, 2 Ni 2.32, 2 Mg 2.33
O7 0.2523 0.0000 0.0000  5 Mg 2.18-2.33, 1 Ni 2.22
O8 0.7477 0.0000 0.0000  5 Mg 2.18-2.33, 1 Ni 2.22
Ba1 0.0000 0.5000 0.5000  6 O 2.32-2.49
Ni1 0.0000 0.0000 0.0000  6 O 2.22-2.32

7.
VASP calculation (PBE+U) on a relaxed BaMgNi4O8 crystal.

Calculated values
crystal system = monoclinic
excess energy over the best structure of this formula in the dataset = 30 meV/atom
formation energy = -1.3511 eV/atom
uncorrected energy = -4.963 eV/atom

Unit cell a=6.5095 b=6.5095 c=6.4197 alpha=53.87 beta=53.87 gamma=57.14
Last column: nearest neighbours and their distance in Å.
Atoms (fractional coordinates):
O1 0.7991 0.2469 0.7563  2 Ni 1.93-1.98
O2 0.2160 0.2160 0.7447  1 Ni 1.83
O3 0.7419 0.7419 0.7106  3 Ni 2.02-2.05
O4 0.2469 0.7991 0.7563  2 Ni 1.93-1.98
O5 0.2009 0.7531 0.2437  2 Ni 1.93-1.98
O6 0.7531 0.2009 0.2437  2 Ni 1.93-1.98
O7 0.7840 0.7840 0.2553  1 Ni 1.83
O8 0.2581 0.2581 0.2894  3 Ni 2.02-2.05
Ni1 0.0000 0.0000 0.0000  6 O 1.83-1.98
Ni2 0.5000 0.0000 0.5000  6 O 1.93-2.05
Ni3 0.0000 0.5000 0.5000  6 O 1.93-2.05
Ni4 0.5000 0.5000 0.0000  6 O 2.05-2.22
Mg1 0.0000 0.0000 0.5000  6 O 2.28-2.30
Ba1 0.5000 0.5000 0.5000  6 O 2.48-2.51

8.
VASP calculation (PBE+U) on a relaxed BaMgNiO3 crystal.

Calculated values
crystal system = tetragonal
formation energy = -1.8390 eV/atom
uncorrected energy = -5.096 eV/atom

Unit cell a=3.8850 b=3.8850 c=6.8035 alpha=90.00 beta=90.00 gamma=90.00
Last column: nearest neighbours and their distance in Å.
Atoms (fractional coordinates):
Ni1 0.5000 0.5000 0.4988  4 O 1.94
O1 0.5000 0.0000 0.5035  2 Mg 1.94, 2 Ni 1.94
O2 0.0000 0.5000 0.5035  2 Mg 1.94, 2 Ni 1.94
O3 0.5000 0.5000 0.0057  4 Ba 2.75
Ba1 0.0000 0.0000 0.0004  4 O 2.75
Mg1 0.0000 0.0000 0.5020  4 O 1.94

9.
VASP calculation (PBE+U) on a relaxed BaMg6NiO8 crystal.

Calculated values
crystal system = tetragonal
excess energy over the best structure of this formula in the dataset = 64 meV/atom
formation energy = -2.3435 eV/atom
uncorrected energy = -5.396 eV/atom

Unit cell a=8.6192 b=4.6930 c=4.6930 alpha=90.00 beta=90.00 gamma=90.00
Last column: nearest neighbours and their distance in Å.
Atoms (fractional coordinates):
O1 0.2131 0.0000 0.0000  1 Ni 1.84
O2 0.7869 0.0000 0.0000  1 Ni 1.84
O3 0.5000 0.5000 0.0000  4 Mg 2.31-2.35, 2 Ba 2.35
O4 0.7515 0.5000 0.5000  6 Mg 2.14-2.35
O5 0.0000 0.0000 0.5000  2 Mg 2.00
O6 0.0000 0.5000 0.0000  2 Mg 2.00
O7 0.2485 0.5000 0.5000  6 Mg 2.14-2.35
O8 0.5000 0.0000 0.5000  4 Mg 2.31-2.35, 2 Ba 2.35
Mg1 0.2324 0.5000 0.0000  1 O 2.00
Mg2 0.0000 0.5000 0.5000  6 O 2.14-2.35
Mg3 0.7676 0.0000 0.5000  1 O 2.00
Mg4 0.2324 0.0000 0.5000  1 O 2.00
Mg5 0.5000 0.5000 0.5000  6 O 2.17-2.35
Mg6 0.7676 0.5000 0.0000  1 O 2.00
Ba1 0.5000 0.0000 0.0000  6 O 2.35-2.47
Ni1 0.0000 0.0000 0.0000  2 O 1.84

What is the formula in the second record?
Ba2MgVMoO6